Entry 1:
ZnS: optimized geometry, GGA-PBE.

Structure (POSCAR):
```
ZnS
1.0
3.853 0.000 0.000
-1.927 3.337 0.000
0.000 0.000 81.867
Zn S
26 26
Direct
0.000 0.000 0.000
0.000 0.000 0.077
0.000 0.000 0.231
0.000 0.000 0.308
0.000 0.000 0.462
0.000 0.000 0.538
0.000 0.000 0.654
0.000 0.000 0.769
0.000 0.000 0.885
0.333 0.667 0.038
0.333 0.667 0.154
0.333 0.667 0.269
0.333 0.667 0.385
0.333 0.667 0.500
0.333 0.667 0.615
0.333 0.667 0.731
0.333 0.667 0.808
0.333 0.667 0.923
0.667 0.333 0.115
0.667 0.333 0.192
0.667 0.333 0.346
0.667 0.333 0.423
0.667 0.333 0.577
0.667 0.333 0.692
0.667 0.333 0.846
0.667 0.333 0.962
0.000 0.000 0.029
0.000 0.000 0.106
0.000 0.000 0.260
0.000 0.000 0.337
0.000 0.000 0.490
0.000 0.000 0.567
0.000 0.000 0.683
0.000 0.000 0.798
0.000 0.000 0.913
0.333 0.667 0.067
0.333 0.667 0.183
0.333 0.667 0.298
0.333 0.667 0.413
0.333 0.667 0.529
0.333 0.667 0.644
0.333 0.667 0.760
0.333 0.667 0.837
0.333 0.667 0.952
0.667 0.333 0.144
0.667 0.333 0.221
0.667 0.333 0.375
0.667 0.333 0.452
0.667 0.333 0.606
0.667 0.333 0.721
0.667 0.333 0.875
0.667 0.333 0.990
```

calculated formation energy: -1.062 eV per atom

Entry 2:
ZnS: optimized geometry, GGA-PBE.

Structure (POSCAR):
```
ZnS
1.0
13.034 0.000 0.000
-1.084 13.155 0.000
-0.805 -1.047 13.874
Zn S
50 50
Direct
0.000 0.000 0.000
0.001 0.578 0.601
0.013 0.319 0.262
0.023 0.298 0.657
0.103 0.548 0.184
0.124 0.890 0.360
0.152 0.125 0.090
0.177 0.273 0.341
0.196 0.992 0.855
0.207 0.097 0.610
0.226 0.413 0.818
0.237 0.616 0.446
0.239 0.785 0.272
0.244 0.396 0.629
0.328 0.926 0.482
0.348 0.598 0.705
0.372 0.540 0.142
0.386 0.236 0.489
0.389 0.362 0.753
0.413 0.019 0.276
0.419 0.711 0.894
0.421 0.325 0.216
0.434 0.993 0.778
0.511 0.790 0.147
0.513 0.711 0.480
0.544 0.452 0.426
0.551 0.482 0.999
0.559 0.770 0.733
0.578 0.210 0.871
0.620 0.071 0.465
0.635 0.320 0.656
0.652 0.846 0.608
0.662 0.631 0.438
0.665 0.478 0.296
0.755 0.957 0.302
0.761 0.023 0.908
0.762 0.807 0.061
0.775 0.259 0.408
0.805 0.256 0.947
0.811 0.171 0.696
0.816 0.194 0.197
0.838 0.482 0.887
0.884 0.923 0.488
0.903 0.529 0.401
0.923 0.747 0.286
0.936 0.648 0.039
0.940 0.755 0.819
0.972 0.157 0.121
0.990 0.058 0.775
0.994 0.863 0.606
0.021 0.394 0.103
0.036 0.704 0.171
0.052 0.904 0.771
0.059 0.624 0.450
0.084 0.455 0.688
0.144 0.287 0.906
0.162 0.945 0.525
0.171 0.966 0.008
0.206 0.242 0.525
0.231 0.554 0.920
0.246 0.131 0.241
0.248 0.672 0.827
0.251 0.264 0.012
0.260 0.381 0.130
0.262 0.602 0.266
0.295 0.086 0.762
0.328 0.524 0.552
0.358 0.765 0.506
0.372 0.867 0.194
0.389 0.150 0.176
0.389 0.357 0.376
0.438 0.064 0.439
0.464 0.258 0.644
0.464 0.647 0.046
0.481 0.343 0.897
0.501 0.873 0.861
0.510 0.612 0.782
0.541 0.445 0.163
0.574 0.098 0.724
0.596 0.472 0.593
0.664 0.888 0.161
0.673 0.143 0.992
0.695 0.918 0.462
0.696 0.570 0.939
0.697 0.123 0.302
0.712 0.022 0.741
0.717 0.208 0.549
0.733 0.565 0.592
0.762 0.632 0.074
0.771 0.325 0.787
0.791 0.634 0.327
0.843 0.468 0.548
0.844 0.371 0.309
0.855 0.879 0.946
0.867 0.404 0.047
0.913 0.712 0.656
0.925 0.131 0.907
0.933 0.921 0.319
0.971 0.136 0.633
0.974 0.606 0.889
```

magnetic moment: 0.00 μB/f.u.
calculated formation energy: -0.619 eV per atom

Entry 3:
ZnS: optimized geometry, GGA-PBE.

Structure (POSCAR):
```
ZnS
1.0
12.625 0.000 0.000
0.105 13.439 0.000
0.679 0.347 13.687
Zn S
50 50
Direct
0.000 0.000 0.000
0.001 0.471 0.003
0.016 0.760 0.415
0.032 0.842 0.642
0.042 0.477 0.703
0.077 0.443 0.212
0.088 0.883 0.182
0.118 0.248 0.638
0.169 0.068 0.852
0.232 0.110 0.073
0.237 0.640 0.566
0.257 0.888 0.693
0.263 0.912 0.468
0.266 0.700 0.275
0.276 0.486 0.738
0.277 0.692 0.838
0.302 0.283 0.281
0.334 0.176 0.571
0.336 0.864 0.042
0.373 0.301 0.792
0.383 0.848 0.840
0.426 0.948 0.377
0.430 0.570 0.791
0.438 0.955 0.685
0.454 0.611 0.243
0.477 0.508 0.512
0.486 0.439 0.989
0.505 0.325 0.661
0.558 0.759 0.239
0.578 0.401 0.282
0.581 0.732 0.550
0.584 0.001 0.125
0.624 0.020 0.819
0.658 0.784 0.987
0.676 0.104 0.555
0.713 0.381 0.486
0.719 0.542 0.127
0.727 0.681 0.416
0.735 0.647 0.886
0.749 0.942 0.341
0.762 0.708 0.600
0.774 0.285 0.752
0.830 0.900 0.096
0.834 0.349 0.071
0.856 0.683 0.279
0.864 0.798 0.951
0.868 0.437 0.353
0.898 0.068 0.799
0.910 0.338 0.506
0.983 0.671 0.894
0.006 0.145 0.897
0.013 0.334 0.102
0.074 0.046 0.142
0.089 0.901 0.870
0.130 0.444 0.858
0.139 0.577 0.937
0.145 0.971 0.588
0.161 0.304 0.392
0.170 0.730 0.700
0.172 0.181 0.487
0.191 0.471 0.594
0.197 0.743 0.429
0.213 0.770 0.131
0.242 0.281 0.025
0.248 0.185 0.736
0.261 0.436 0.193
0.300 0.530 0.308
0.316 0.009 0.947
0.363 0.156 0.181
0.396 0.293 0.959
0.409 0.346 0.505
0.428 0.640 0.601
0.466 0.286 0.371
0.477 0.068 0.252
0.494 0.091 0.596
0.515 0.847 0.083
0.536 0.490 0.139
0.566 0.870 0.778
0.573 0.539 0.874
0.592 0.850 0.383
0.597 0.093 0.968
0.621 0.512 0.408
0.673 0.386 0.652
0.695 0.219 0.419
0.730 0.710 0.161
0.746 0.113 0.719
0.749 0.016 0.189
0.754 0.285 0.931
0.755 0.135 0.967
0.759 0.393 0.225
0.796 0.597 0.727
0.827 0.516 0.982
0.830 0.025 0.470
0.855 0.172 0.413
0.903 0.804 0.541
0.944 0.839 0.281
0.950 0.900 0.793
0.956 0.324 0.668
0.959 0.627 0.728
0.989 0.557 0.308
```

magnetic moment: 0.00 μB/f.u.
calculated formation energy: -0.578 eV per atom

Entry 4:
ZnS: optimized geometry, GGA-PBE.

Structure (POSCAR):
```
ZnS
1.0
3.853 0.000 0.000
-1.926 3.337 0.000
0.000 0.000 69.262
Zn S
22 22
Direct
0.000 0.000 0.000
0.000 0.000 0.091
0.000 0.000 0.227
0.000 0.000 0.364
0.000 0.000 0.455
0.000 0.000 0.591
0.000 0.000 0.727
0.000 0.000 0.864
0.333 0.667 0.045
0.333 0.667 0.182
0.333 0.667 0.273
0.333 0.667 0.409
0.333 0.667 0.545
0.333 0.667 0.682
0.333 0.667 0.773
0.333 0.667 0.909
0.667 0.333 0.136
0.667 0.333 0.318
0.667 0.333 0.500
0.667 0.333 0.636
0.667 0.333 0.818
0.667 0.333 0.955
0.000 0.000 0.034
0.000 0.000 0.125
0.000 0.000 0.261
0.000 0.000 0.398
0.000 0.000 0.489
0.000 0.000 0.625
0.000 0.000 0.761
0.000 0.000 0.898
0.333 0.667 0.080
0.333 0.667 0.216
0.333 0.667 0.307
0.333 0.667 0.443
0.333 0.667 0.580
0.333 0.667 0.716
0.333 0.667 0.807
0.333 0.667 0.943
0.667 0.333 0.170
0.667 0.333 0.352
0.667 0.333 0.534
0.667 0.333 0.670
0.667 0.333 0.852
0.667 0.333 0.989
```

calculated formation energy: -1.062 eV per atom

Entry 5:
ZnS: optimized geometry, GGA-PBE.

Structure (POSCAR):
```
ZnS
1.0
3.850 0.000 0.000
-1.925 3.335 0.000
0.000 0.000 75.567
Zn S
24 24
Direct
0.000 0.000 0.000
0.000 0.000 0.083
0.000 0.000 0.167
0.000 0.000 0.250
0.000 0.000 0.375
0.000 0.000 0.500
0.000 0.000 0.625
0.000 0.000 0.750
0.000 0.000 0.875
0.333 0.667 0.042
0.333 0.667 0.208
0.333 0.667 0.333
0.333 0.667 0.417
0.333 0.667 0.583
0.333 0.667 0.667
0.333 0.667 0.833
0.333 0.667 0.917
0.667 0.333 0.125
0.667 0.333 0.292
0.667 0.333 0.458
0.667 0.333 0.542
0.667 0.333 0.708
0.667 0.333 0.792
0.667 0.333 0.958
0.000 0.000 0.031
0.000 0.000 0.115
0.000 0.000 0.198
0.000 0.000 0.281
0.000 0.000 0.406
0.000 0.000 0.531
0.000 0.000 0.656
0.000 0.000 0.781
0.000 0.000 0.906
0.333 0.667 0.073
0.333 0.667 0.240
0.333 0.667 0.365
0.333 0.667 0.448
0.333 0.667 0.615
0.333 0.667 0.698
0.333 0.667 0.865
0.333 0.667 0.948
0.667 0.333 0.156
0.667 0.333 0.323
0.667 0.333 0.490
0.667 0.333 0.573
0.667 0.333 0.740
0.667 0.333 0.823
0.667 0.333 0.990
```

calculated formation energy: -1.062 eV per atom

Entry 6:
ZnS2: optimized geometry, GGA-PBE.

Structure (POSCAR):
```
ZnS2
1.0
6.000 0.000 0.000
0.000 6.000 0.000
0.000 0.000 6.000
Zn S
4 8
Direct
0.000 0.000 0.000
0.000 0.500 0.500
0.500 0.000 0.500
0.500 0.500 0.000
0.100 0.600 0.900
0.100 0.900 0.400
0.400 0.100 0.900
0.400 0.400 0.400
0.600 0.600 0.600
0.600 0.900 0.100
0.900 0.100 0.600
0.900 0.400 0.100
```

calculated formation energy: -0.703 eV per atom

Please write out number 3 again, unchanged.
ZnS: optimized geometry, GGA-PBE.

Structure (POSCAR):
```
ZnS
1.0
12.625 0.000 0.000
0.105 13.439 0.000
0.679 0.347 13.687
Zn S
50 50
Direct
0.000 0.000 0.000
0.001 0.471 0.003
0.016 0.760 0.415
0.032 0.842 0.642
0.042 0.477 0.703
0.077 0.443 0.212
0.088 0.883 0.182
0.118 0.248 0.638
0.169 0.068 0.852
0.232 0.110 0.073
0.237 0.640 0.566
0.257 0.888 0.693
0.263 0.912 0.468
0.266 0.700 0.275
0.276 0.486 0.738
0.277 0.692 0.838
0.302 0.283 0.281
0.334 0.176 0.571
0.336 0.864 0.042
0.373 0.301 0.792
0.383 0.848 0.840
0.426 0.948 0.377
0.430 0.570 0.791
0.438 0.955 0.685
0.454 0.611 0.243
0.477 0.508 0.512
0.486 0.439 0.989
0.505 0.325 0.661
0.558 0.759 0.239
0.578 0.401 0.282
0.581 0.732 0.550
0.584 0.001 0.125
0.624 0.020 0.819
0.658 0.784 0.987
0.676 0.104 0.555
0.713 0.381 0.486
0.719 0.542 0.127
0.727 0.681 0.416
0.735 0.647 0.886
0.749 0.942 0.341
0.762 0.708 0.600
0.774 0.285 0.752
0.830 0.900 0.096
0.834 0.349 0.071
0.856 0.683 0.279
0.864 0.798 0.951
0.868 0.437 0.353
0.898 0.068 0.799
0.910 0.338 0.506
0.983 0.671 0.894
0.006 0.145 0.897
0.013 0.334 0.102
0.074 0.046 0.142
0.089 0.901 0.870
0.130 0.444 0.858
0.139 0.577 0.937
0.145 0.971 0.588
0.161 0.304 0.392
0.170 0.730 0.700
0.172 0.181 0.487
0.191 0.471 0.594
0.197 0.743 0.429
0.213 0.770 0.131
0.242 0.281 0.025
0.248 0.185 0.736
0.261 0.436 0.193
0.300 0.530 0.308
0.316 0.009 0.947
0.363 0.156 0.181
0.396 0.293 0.959
0.409 0.346 0.505
0.428 0.640 0.601
0.466 0.286 0.371
0.477 0.068 0.252
0.494 0.091 0.596
0.515 0.847 0.083
0.536 0.490 0.139
0.566 0.870 0.778
0.573 0.539 0.874
0.592 0.850 0.383
0.597 0.093 0.968
0.621 0.512 0.408
0.673 0.386 0.652
0.695 0.219 0.419
0.730 0.710 0.161
0.746 0.113 0.719
0.749 0.016 0.189
0.754 0.285 0.931
0.755 0.135 0.967
0.759 0.393 0.225
0.796 0.597 0.727
0.827 0.516 0.982
0.830 0.025 0.470
0.855 0.172 0.413
0.903 0.804 0.541
0.944 0.839 0.281
0.950 0.900 0.793
0.956 0.324 0.668
0.959 0.627 0.728
0.989 0.557 0.308
```

magnetic moment: 0.00 μB/f.u.
calculated formation energy: -0.578 eV per atom

Which value of calculated formation energy does entry 5 give? -1.062 eV per atom

Among the records above, which one has the highest calculated formation energy? number 3